KGe: optimized geometry, PBE-GGA. Values from VASP.

```
&SYSTEM
  ibrav = 0, nat = 2, ntyp = 2
/
ATOMIC_SPECIES
Ge 72.64 Ge.upf
K 39.10 K.upf
CELL_PARAMETERS angstrom
-3.410 -3.410 0.000
-3.410 0.000 -3.410
0.000 -3.410 -3.410
ATOMIC_POSITIONS angstrom
Ge -3.410 -3.410 -3.410
K 0.000 0.000 0.000
```

- ΔE_f (eV per atom) = 0.77
- excess energy over the best structure of this formula in the dataset (meV/atom) = 987.2


HoCu4Au: optimized geometry, PBE-GGA. Values from VASP.

```
&SYSTEM
  ibrav = 0, nat = 6, ntyp = 3
/
ATOMIC_SPECIES
Cu 63.55 Cu.upf
Au 196.97 Au.upf
Ho 164.93 Ho.upf
CELL_PARAMETERS angstrom
3.552 -2.634 -2.435
-0.300 -5.034 -0.225
-1.095 -2.270 -4.374
ATOMIC_POSITIONS angstrom
Cu 1.501 -3.686 -4.288
Cu 1.350 -6.219 -4.402
Cu -0.438 -4.894 -3.176
Cu 1.901 -5.077 -2.201
Au 0.000 0.000 0.000
Ho 0.539 -2.485 -1.758
```

- ΔE_f (eV per atom) = -0.35


NbMoW: optimized geometry, PBE-GGA. Values from VASP.

```
&SYSTEM
  ibrav = 0, nat = 3, ntyp = 3
/
ATOMIC_SPECIES
Nb 92.91 Nb.upf
Mo 95.94 Mo.upf
W 183.84 W.upf
CELL_PARAMETERS angstrom
-5.283 4.866 -0.204
-4.325 4.713 -2.833
-2.368 -1.478 0.245
ATOMIC_POSITIONS angstrom
Nb -4.785 2.214 -0.851
Mo -2.387 -1.448 0.236
W -7.171 5.858 -1.933
```

- ΔE_f (eV per atom) = -0.06


H28Pt2Br5N9O2: optimized geometry, PBE-GGA. Values from VASP.

```
&SYSTEM
  ibrav = 0, nat = 184, ntyp = 5
/
ATOMIC_SPECIES
Br 79.90 Br.upf
H 1.01 H.upf
Pt 195.08 Pt.upf
N 14.01 N.upf
O 16.00 O.upf
CELL_PARAMETERS angstrom
-11.158 -7.557 -6.484
3.404 -9.282 4.960
-5.839 -1.094 11.322
ATOMIC_POSITIONS angstrom
Br -4.751 -2.163 8.745
Br -12.317 -6.992 7.881
Br -7.257 -12.947 4.988
Br -10.113 -11.974 1.869
Br -6.148 -4.539 0.575
Br -2.902 -6.999 0.906
Br -1.294 -3.002 0.382
Br -7.444 -13.394 9.222
Br -10.690 -10.935 8.891
Br -9.175 -8.834 5.060
Br -1.344 -9.558 9.235
Br -4.201 -7.524 12.220
Br -1.275 -10.941 1.917
Br -4.417 -9.100 4.737
Br -6.336 -4.986 4.810
Br -9.391 -10.410 -2.423
Br -12.298 -14.932 9.415
Br -12.248 -8.375 0.563
Br -3.479 -5.960 7.929
Br -8.841 -15.771 1.053
H -4.134 -8.379 8.164
H -2.360 -6.501 10.692
H -9.350 -7.704 -2.305
H -9.167 -14.172 3.917
H -10.237 -7.156 -1.171
H -4.263 -12.414 8.313
H -4.126 -3.736 10.661
H -1.351 -5.328 2.231
H -7.438 -9.749 10.951
H -12.242 -12.606 7.567
H -3.991 -13.167 3.008
H -10.288 -7.423 -4.692
H -10.465 -13.621 10.520
H -13.619 -9.381 6.318
H -4.426 -4.986 -1.558
H -12.308 -9.163 -1.778
H -5.726 -14.268 1.817
H -4.408 -9.318 2.144
H -7.102 -13.568 2.399
H -4.242 -10.230 12.103
H -10.258 -11.552 5.944
H -7.319 -11.313 7.742
H -3.229 -2.745 6.495
H -12.343 -7.152 4.963
H -9.222 -8.479 9.324
H -12.437 -10.142 7.260
H -5.937 -10.432 10.636
H -12.622 -15.939 6.720
H -1.155 -7.792 2.537
H -10.363 -15.188 3.303
H -7.280 -11.087 9.932
H -9.450 -12.976 -2.008
H -4.644 -4.169 2.890
H -6.273 -6.620 2.055
H -9.424 -15.343 7.026
H -10.172 -14.218 7.972
H -1.605 -8.648 3.862
H -10.202 -6.306 6.804
H -6.490 -4.365 7.399
H -7.501 -10.226 6.482
H -3.390 -11.627 2.994
H 0.027 -8.553 3.479
H -1.284 -8.771 11.575
H 1.806 -9.733 4.482
H -3.889 -3.474 -1.956
H -1.551 -7.192 7.014
H -9.289 -7.878 1.477
H -13.463 -13.547 6.895
H -5.771 -6.892 7.019
H -3.735 -12.232 6.882
H -4.294 -9.039 9.657
H -3.304 -10.511 14.490
H -9.184 -8.615 7.653
H -1.002 -8.520 6.146
H -7.655 -7.501 -0.838
H -1.254 -4.512 6.597
H -7.603 -7.120 2.873
H -7.866 -3.665 7.980
H -9.298 -8.894 0.141
H -6.312 -6.846 -0.135
H -11.296 -7.591 3.921
H -3.127 -4.312 -0.723
H -12.590 -9.414 3.652
H -0.970 -1.994 3.077
H -9.857 -5.701 2.915
H -6.538 -10.287 3.561
H -4.370 -9.454 0.473
H -7.054 -7.647 6.236
H -0.130 -4.387 2.903
H -6.154 -8.185 -1.154
H -15.398 -8.200 5.316
H -7.821 -11.042 2.778
H -4.168 -2.590 2.772
H -8.876 -5.919 5.840
H -11.987 -9.285 5.936
H -2.296 -10.342 5.876
H -15.285 -10.893 5.767
H -9.466 -14.198 -0.863
H -7.105 -7.211 10.651
H -1.249 -10.781 4.834
H -4.142 -4.957 11.806
H -9.166 -12.947 11.356
H -8.948 -13.765 6.907
H -4.425 -3.761 5.881
H -4.303 -10.055 8.321
H -9.601 -4.766 6.789
H -13.691 -10.414 2.935
H -3.308 -6.070 5.499
H -5.989 -10.813 6.924
H -12.338 -13.421 3.200
H -2.371 -1.299 3.634
H -5.801 -6.623 9.777
H -3.420 -3.716 1.826
H 1.693 -7.040 4.031
H -9.420 -15.697 4.561
H -7.791 -11.311 0.021
H -6.487 -10.722 -0.853
H -3.334 -6.382 3.853
H -11.221 -16.635 6.164
H -9.458 -9.554 1.633
H -4.716 -12.015 3.957
H -10.284 -11.864 4.298
H -11.232 -11.433 -0.895
H -6.893 -13.803 0.743
H -4.172 -2.236 5.237
H -6.091 -7.707 3.316
H -3.355 -10.777 10.968
H -12.041 -10.742 2.783
H -6.699 -4.130 9.054
H -9.703 -14.459 11.754
H -9.329 -5.520 1.485
H 0.099 -7.519 6.863
Pt -0.780 -6.291 4.665
Pt -12.812 -11.642 5.132
Pt -8.040 -6.301 8.313
Pt -11.216 -14.038 5.551
Pt -5.552 -11.632 1.485
Pt -2.376 -3.895 4.247
Pt -6.908 -9.073 1.206
Pt -6.684 -8.860 8.592
N -9.898 -14.862 4.162
N -6.423 -13.532 1.623
N -6.855 -10.183 10.213
N -12.721 -9.911 6.293
N -4.182 -12.421 0.126
N -2.824 -5.898 4.602
N -7.169 -4.402 8.174
N 1.316 -6.349 4.700
N -12.613 -13.003 6.690
N -1.630 -1.980 3.866
N -6.737 -7.750 -0.416
N -12.780 -10.413 3.430
N -6.900 -10.484 7.283
N -0.979 -4.931 3.107
N -6.912 -10.571 2.646
N -4.270 -12.174 3.044
N -0.933 -4.450 5.625
N -8.974 -8.804 1.113
N -0.871 -8.022 3.504
N -4.916 -9.669 1.315
N -14.908 -11.584 5.098
N -0.812 -7.521 6.367
N -3.817 -3.561 2.765
N -6.883 -10.835 0.096
N -6.692 -7.449 2.515
N -3.694 -3.072 5.636
N -9.775 -14.372 7.033
N -8.676 -8.265 8.483
N -12.659 -13.483 4.172
N -11.962 -15.954 5.932
N -6.709 -7.099 9.702
N -4.618 -9.130 8.685
N -9.410 -5.513 9.672
N -10.768 -12.036 5.196
N -6.680 -7.362 7.152
N -9.322 -5.760 6.753
O -1.328 -10.350 5.708
O -9.356 -7.043 -1.578
O -12.265 -7.583 4.089
O -9.408 -6.200 2.182
O -15.327 -8.779 6.100
O -4.184 -11.733 7.615
O -4.236 -10.891 11.375
O 1.735 -9.154 3.697
```

- ΔE_f (eV per atom) = -0.49


TiCrCuS4: optimized geometry, PBE-GGA. Values from VASP.

```
&SYSTEM
  ibrav = 0, nat = 14, ntyp = 4
/
ATOMIC_SPECIES
S 32.06 S.upf
Cu 63.55 Cu.upf
Ti 47.87 Ti.upf
Cr 52.00 Cr.upf
CELL_PARAMETERS angstrom
-0.269 1.244 -3.203
0.219 -5.504 -2.155
-11.463 -0.865 0.626
ATOMIC_POSITIONS angstrom
S -7.018 -2.355 -0.325
S -9.763 -4.413 -0.894
S -10.159 -1.044 -1.407
S -1.353 -4.080 -3.325
S -7.284 -4.585 -3.023
S -4.228 -0.539 -1.709
S -1.481 -1.955 -0.635
S -4.225 -4.013 -1.204
Cu -0.025 -2.130 -2.679
Cu -5.731 -0.432 0.313
Ti -8.568 -2.605 -2.146
Ti -2.945 -2.520 -2.585
Cr -2.576 -5.607 -1.961
Cr -8.667 -0.762 0.432
```

- ΔE_f (eV per atom) = -1.12
- excess energy over the best structure of this formula in the dataset (meV/atom) = 62.5


K2AgAuCl6: optimized geometry, PBE-GGA. Values from VASP.

```
&SYSTEM
  ibrav = 0, nat = 10, ntyp = 4
/
ATOMIC_SPECIES
Au 196.97 Au.upf
Cl 35.45 Cl.upf
K 39.10 K.upf
Ag 107.87 Ag.upf
CELL_PARAMETERS angstrom
0.000 5.137 5.137
5.137 0.000 5.137
5.137 5.137 0.000
ATOMIC_POSITIONS angstrom
Au 0.000 0.000 0.000
Cl 2.544 5.137 5.137
Cl 7.729 5.137 5.137
Cl 5.137 5.137 7.729
Cl 5.137 7.729 5.137
Cl 5.137 5.137 2.544
Cl 5.137 2.544 5.137
K 7.705 7.705 7.705
K 2.568 2.568 2.568
Ag 5.137 5.137 5.137
```

- ΔE_f (eV per atom) = -1.35


TiC2: optimized geometry, PBE-GGA. Values from VASP.

```
&SYSTEM
  ibrav = 0, nat = 3, ntyp = 2
/
ATOMIC_SPECIES
Ti 47.87 Ti.upf
C 12.01 C.upf
CELL_PARAMETERS angstrom
0.000 3.246 -0.226
0.000 -0.226 3.246
2.902 0.000 0.000
ATOMIC_POSITIONS angstrom
Ti 1.451 1.436 1.583
C 0.000 3.016 2.074
C 0.000 0.945 0.004
```

- ΔE_f (eV per atom) = 0.19


Ce2Si3Rh: optimized geometry, PBE-GGA. Values from VASP.

```
&SYSTEM
  ibrav = 0, nat = 12, ntyp = 3
/
ATOMIC_SPECIES
Ce 140.12 Ce.upf
Si 28.09 Si.upf
Rh 102.91 Rh.upf
CELL_PARAMETERS angstrom
6.737 0.356 -4.660
-6.757 4.066 -2.245
1.280 3.287 2.101
ATOMIC_POSITIONS angstrom
Ce 0.640 1.643 1.051
Ce -2.739 3.676 -0.072
Ce 4.008 1.821 -1.279
Ce 0.630 3.854 -2.402
Si 1.101 3.018 -5.391
Si -1.131 3.632 -4.992
Si 1.111 0.790 -1.913
Si -1.121 1.404 -1.513
Si 4.505 0.970 -4.260
Si -4.525 3.453 -2.644
Rh -2.259 2.829 -3.050
Rh 2.239 1.593 -3.855
```

- ΔE_f (eV per atom) = -0.89
- excess energy over the best structure of this formula in the dataset (meV/atom) = 0.0


Er2CuTe2S2O14: optimized geometry, PBE-GGA. Values from VASP.

```
&SYSTEM
  ibrav = 0, nat = 21, ntyp = 5
/
ATOMIC_SPECIES
O 16.00 O.upf
S 32.06 S.upf
Er 167.26 Er.upf
Te 127.60 Te.upf
Cu 63.55 Cu.upf
CELL_PARAMETERS angstrom
-1.547 -0.035 4.953
-3.009 -7.329 -0.297
4.220 -5.997 3.616
ATOMIC_POSITIONS angstrom
O 2.331 -6.037 7.345
O 1.696 -9.462 4.287
O -2.170 -6.695 3.272
O 0.084 -2.909 2.195
O 1.834 -6.667 5.001
O -0.973 -5.750 1.375
O -0.420 -10.453 6.077
O -2.031 -3.900 3.985
O -0.629 -8.091 2.054
O 0.293 -5.270 6.218
O -0.391 -10.762 3.345
O 0.638 -7.612 6.898
O -2.667 -7.325 0.927
O 0.056 -2.600 4.928
S -1.591 -6.990 1.933
S 1.255 -6.372 6.339
Er 0.460 -11.402 7.919
Er -0.795 -1.960 0.353
Te -0.157 -4.081 3.691
Te -0.179 -9.280 4.582
Cu 2.110 -2.999 1.808
```

- ΔE_f (eV per atom) = -2.28


Zn2Cu10Sn5Hg3S20: optimized geometry, PBE-GGA. Values from VASP.

```
&SYSTEM
  ibrav = 0, nat = 40, ntyp = 5
/
ATOMIC_SPECIES
Hg 200.59 Hg.upf
Sn 118.71 Sn.upf
Cu 63.55 Cu.upf
S 32.06 S.upf
Zn 65.41 Zn.upf
CELL_PARAMETERS angstrom
-3.293 -4.483 3.867
1.121 -6.570 1.217
14.422 5.864 19.405
ATOMIC_POSITIONS angstrom
Hg 0.238 -6.153 1.747
Hg 1.576 -0.622 5.440
Hg 8.911 -3.734 20.107
Sn 9.865 -4.255 16.286
Sn -0.737 -5.625 5.528
Sn 5.035 -2.186 6.612
Sn 11.223 1.270 20.021
Sn 7.450 -3.221 11.449
Cu 12.278 -2.276 18.748
Cu 2.620 -4.165 4.151
Cu 4.089 -4.680 12.822
Cu 11.300 -1.749 22.524
Cu 8.836 -0.730 17.600
Cu 1.664 -3.632 7.939
Cu -0.813 -2.607 3.024
Cu 9.803 -1.246 13.835
Cu 6.397 0.325 12.726
Cu 5.081 -5.188 9.072
S 13.389 4.585 18.002
S 6.305 -1.087 10.847
S -0.927 -7.301 3.735
S 11.030 -0.408 18.225
S 5.407 -0.609 14.640
S 13.533 1.944 20.541
S 1.519 -8.333 8.665
S 11.351 -3.120 20.679
S 8.731 -2.119 15.725
S 2.935 -2.733 12.196
S 3.888 -3.244 8.543
S 11.054 2.992 15.631
S 1.417 -2.314 3.500
S 6.332 -4.285 13.410
S 8.671 0.701 13.185
S 4.115 -6.143 10.983
S -0.616 -10.021 6.174
S 4.026 -0.013 6.007
S 8.761 -5.430 18.159
S 1.575 -4.949 6.051
Zn 4.024 -1.659 10.339
Zn 6.460 -2.695 15.211
```

- ΔE_f (eV per atom) = -0.60